NdZnPd | PBE-GGA | optimized geometry

abc: 7.4649 7.4649 3.9915
angles: 90.00 90.00 120.00
Closest atoms and distances in Å follow each position.
Positions (direct):
Zn1 0.2423 0.0000 0.5000  4 Pd 2.69-2.89
Nd1 0.4088 0.4088 0.0000  5 Pd 3.02-3.05, 6 Zn 3.28-3.32
Zn2 0.0000 0.2423 0.5000  4 Pd 2.69-2.89
Pd1 0.3333 0.6667 0.5000  3 Zn 2.89, 6 Nd 3.02
Nd2 0.5912 0.0000 0.0000  5 Pd 3.02-3.05, 6 Zn 3.28-3.32
Pd2 0.6667 0.3333 0.5000  3 Zn 2.89, 6 Nd 3.02
Zn3 0.7577 0.7577 0.5000  4 Pd 2.69-2.89
Pd3 0.0000 0.0000 0.0000  6 Zn 2.69
Nd3 0.0000 0.5912 0.0000  5 Pd 3.02-3.05, 6 Zn 3.28-3.32

Summary:
Its formation energy is -0.695 eV/atom. Its volume is 193 Å³/cell.



Pm3Nd | PBE-GGA | optimized geometry

abc: 6.3546 6.3546 6.3546
angles: 131.92 131.92 70.35
Closest atoms and distances in Å follow each position.
Positions (direct):
Pm1 0.5000 0.5000 0.0000  4 Nd 3.66, 8 Pm 3.67
Nd1 0.0000 0.0000 0.0000  12 Pm 3.66-3.67
Pm2 0.7500 0.2500 0.5000  8 Pm 3.66-3.67, 4 Nd 3.67
Pm3 0.2500 0.7500 0.5000  8 Pm 3.66-3.67, 4 Nd 3.67

Summary:
As for the excess energy over the best structure of this formula in the dataset: 0 meV per atom. Its formation energy is 0.013 eV/atom. Its volume is 139 Å³/cell.



Pm3Nd | PBE-GGA | optimized geometry

abc: 7.3384 7.3384 6.0202
angles: 90.00 90.00 120.00
Closest atoms and distances in Å follow each position.
Positions (direct):
Nd1 0.6667 0.3333 0.2500  12 Pm 3.67-3.68
Pm1 0.3328 0.1664 0.7500  8 Pm 3.66-3.68, 4 Nd 3.67-3.68
Pm2 0.1664 0.8336 0.2500  8 Pm 3.66-3.68, 4 Nd 3.67-3.68
Nd2 0.3333 0.6667 0.7500  12 Pm 3.67-3.68
Pm3 0.6672 0.8336 0.2500  8 Pm 3.66-3.68, 4 Nd 3.67-3.68
Pm4 0.1664 0.3328 0.2500  8 Pm 3.66-3.68, 4 Nd 3.67-3.68
Pm5 0.8336 0.6672 0.7500  8 Pm 3.66-3.68, 4 Nd 3.67-3.68
Pm6 0.8336 0.1664 0.7500  8 Pm 3.66-3.68, 4 Nd 3.67-3.68

Summary:
As for the excess energy over the best structure of this formula in the dataset: 17 meV per atom. Its formation energy is 0.030 eV/atom. Its volume is 281 Å³/cell.



PmNd | PBE-GGA | optimized geometry

abc: 3.6728 3.6728 6.0293
angles: 90.00 90.00 120.00
Closest atoms and distances in Å follow each position.
Positions (direct):
Pm1 0.6667 0.3333 0.0000  6 Pm 3.67, 6 Nd 3.69
Nd1 0.0000 0.0000 0.5000  6 Nd 3.67, 6 Pm 3.69

Summary:
Its formation energy is 0.027 eV/atom. Its volume is 70 Å³/cell.



PmNdTl2 | PBE-GGA | optimized geometry

abc: 5.5072 5.5072 5.5072
angles: 60.00 60.00 60.00
Closest atoms and distances in Å follow each position.
Positions (direct):
Nd1 0.2500 0.2500 0.2500  8 Tl 3.37
Tl1 0.0000 0.0000 0.0000  4 Pm 3.37, 4 Nd 3.37
Pm1 0.7500 0.7500 0.7500  8 Tl 3.37
Tl2 0.5000 0.5000 0.5000  4 Pm 3.37, 4 Nd 3.37

Summary:
Its formation energy is -0.392 eV/atom. Its volume is 118 Å³/cell.



PrNd | PBE-GGA | optimized geometry

abc: 3.7088 3.7088 6.1016
angles: 90.00 90.00 120.00
Closest atoms and distances in Å follow each position.
Positions (direct):
Nd1 0.3333 0.6667 0.5000  6 Nd 3.71, 6 Pr 3.73
Pr1 0.0000 0.0000 0.0000  6 Pr 3.71, 6 Nd 3.73

Summary:
As for the excess energy over the best structure of this formula in the dataset: 31 meV per atom. Its formation energy is 0.029 eV/atom. Its volume is 73 Å³/cell.



PrNd | PBE-GGA | optimized geometry

abc: 3.7075 3.7075 11.9715
angles: 90.00 90.00 120.00
Closest atoms and distances in Å follow each position.
Positions (direct):
Nd1 0.6667 0.3333 0.7500  6 Pr 3.68, 6 Nd 3.71
Nd2 0.3333 0.6667 0.2500  6 Pr 3.68, 6 Nd 3.71
Pr1 0.0000 0.0000 0.0000  6 Nd 3.68, 6 Pr 3.71
Pr2 0.0000 0.0000 0.5000  6 Nd 3.68, 6 Pr 3.71

Summary:
As for the excess energy over the best structure of this formula in the dataset: 0 meV per atom. Its formation energy is -0.002 eV/atom. Its volume is 143 Å³/cell.



PrNdSb4 | PBE-GGA | optimized geometry

abc: 4.4313 4.4313 18.2743
angles: 89.79 89.79 90.08
Closest atoms and distances in Å follow each position.
Positions (direct):
Pr1 0.8641 0.8641 0.3893  9 Sb 3.23-3.48
Sb1 0.1283 0.6217 0.7506  4 Sb 3.09-3.18, 2 Nd 3.33-3.41, 2 Pr 3.35-3.42
Sb2 0.8717 0.3783 0.2494  4 Sb 3.09-3.18, 2 Nd 3.33-3.41, 2 Pr 3.35-3.42
Nd1 0.3612 0.3612 0.1105  9 Sb 3.22-3.49
Pr2 0.1359 0.1359 0.6107  9 Sb 3.23-3.48
Sb3 0.6331 0.6331 0.5632  1 Sb 2.85
Sb4 0.6217 0.1283 0.7506  4 Sb 3.09-3.18, 2 Nd 3.33-3.41, 2 Pr 3.35-3.42
Sb5 0.8664 0.8664 0.0637  1 Sb 2.86
Sb6 0.1336 0.1336 0.9363  1 Sb 2.86
Nd2 0.6388 0.6388 0.8895  9 Sb 3.22-3.49
Sb7 0.3669 0.3669 0.4368  1 Sb 2.85
Sb8 0.3783 0.8717 0.2494  4 Sb 3.09-3.18, 2 Nd 3.33-3.41, 2 Pr 3.35-3.42

Summary:
Its formation energy is -0.929 eV/atom. Its volume is 359 Å³/cell.



Repeat the fifth record exactly.
PmNdTl2 | PBE-GGA | optimized geometry

abc: 5.5072 5.5072 5.5072
angles: 60.00 60.00 60.00
Closest atoms and distances in Å follow each position.
Positions (direct):
Nd1 0.2500 0.2500 0.2500  8 Tl 3.37
Tl1 0.0000 0.0000 0.0000  4 Pm 3.37, 4 Nd 3.37
Pm1 0.7500 0.7500 0.7500  8 Tl 3.37
Tl2 0.5000 0.5000 0.5000  4 Pm 3.37, 4 Nd 3.37

Summary:
Its formation energy is -0.392 eV/atom. Its volume is 118 Å³/cell.



Which of these has the lowest volume?
PmNd